# VGe2O6 | Materials Project | GGA+U | optimized geometry
data_VGe2O6
_space_group_name_H-M_alt 'P 1'
_space_group_IT_number 1
_cell_length_a 8.954
_cell_length_b 5.462
_cell_length_c 10.183
_cell_angle_alpha 76.02
_cell_angle_beta 90.00
_cell_angle_gamma 90.00
loop_
_space_group_symop_operation_xyz
'x,y,z'
loop_
_atom_site_label
_atom_site_fract_x
_atom_site_fract_y
_atom_site_fract_z
V1 0.344 0.723 0.238
V2 0.844 0.777 0.762
V3 0.656 0.277 0.762
V4 0.156 0.223 0.238
Ge1 0.667 0.802 0.051
Ge2 0.167 0.698 0.949
Ge3 0.333 0.198 0.949
Ge4 0.833 0.302 0.051
Ge5 0.653 0.627 0.480
Ge6 0.153 0.873 0.520
Ge7 0.347 0.373 0.520
Ge8 0.847 0.127 0.480
O1 0.723 0.939 0.411
O2 0.223 0.561 0.589
O3 0.277 0.061 0.589
O4 0.777 0.439 0.411
O5 0.701 0.066 0.116
O6 0.201 0.434 0.884
O7 0.299 0.934 0.884
O8 0.799 0.566 0.116
O9 0.031 0.178 0.404
O10 0.531 0.322 0.596
O11 0.969 0.822 0.596
O12 0.469 0.678 0.404
O13 0.009 0.193 0.121
O14 0.509 0.307 0.879
O15 0.991 0.807 0.879
O16 0.491 0.693 0.121
O17 0.678 0.887 0.872
O18 0.178 0.613 0.128
O19 0.322 0.113 0.128
O20 0.822 0.387 0.872
O21 0.702 0.613 0.663
O22 0.202 0.887 0.337
O23 0.298 0.387 0.337
O24 0.798 0.113 0.663
# Formation energy, meV/atom: -2138

# Li9Mn2Co5O16 | Materials Project | GGA+U | optimized geometry
data_Li9Mn2Co5O16
_space_group_name_H-M_alt 'P 1'
_space_group_IT_number 1
_cell_length_a 5.934
_cell_length_b 6.448
_cell_length_c 7.879
_cell_angle_alpha 88.66
_cell_angle_beta 103.86
_cell_angle_gamma 104.86
loop_
_space_group_symop_operation_xyz
'x,y,z'
loop_
_atom_site_label
_atom_site_fract_x
_atom_site_fract_y
_atom_site_fract_z
Li1 0.126 0.619 0.871
Li2 0.746 0.248 0.748
Li3 0.008 0.492 0.504
Li4 0.621 0.126 0.380
Li5 0.877 0.377 0.124
Li6 0.497 0.012 0.992
Li7 0.374 0.880 0.623
Li8 0.249 0.748 0.256
Li9 0.248 0.251 0.748
Mn1 0.005 0.001 0.998
Mn2 0.619 0.620 0.873
Co1 0.872 0.880 0.625
Co2 0.490 0.498 0.504
Co3 0.123 0.127 0.382
Co4 0.755 0.748 0.251
Co5 0.381 0.371 0.120
O1 0.930 0.699 0.051
O2 0.569 0.332 0.933
O3 0.783 0.579 0.692
O4 0.425 0.199 0.545
O5 0.674 0.451 0.301
O6 0.306 0.069 0.172
O7 0.151 0.941 0.819
O8 0.053 0.821 0.429
O9 0.329 0.572 0.699
O10 0.931 0.167 0.561
O11 0.200 0.424 0.324
O12 0.842 0.044 0.187
O13 0.077 0.302 0.957
O14 0.696 0.932 0.831
O15 0.577 0.798 0.442
O16 0.464 0.672 0.059
# Formation energy, meV/atom: -1833

# Co7As2O12 | Materials Project | GGA+U | optimized geometry
data_Co7As2O12
_space_group_name_H-M_alt 'P 1'
_space_group_IT_number 1
_cell_length_a 5.882
_cell_length_b 8.462
_cell_length_c 10.522
_cell_angle_alpha 114.39
_cell_angle_beta 106.31
_cell_angle_gamma 90.01
loop_
_space_group_symop_operation_xyz
'x,y,z'
loop_
_atom_site_label
_atom_site_fract_x
_atom_site_fract_y
_atom_site_fract_z
Co1 0.427 0.798 0.855
Co2 0.156 0.156 0.818
Co3 0.661 0.156 0.818
Co4 0.837 0.826 0.675
Co5 0.339 0.844 0.182
Co6 0.163 0.174 0.325
Co7 0.573 0.202 0.145
Co8 0.664 0.649 0.329
Co9 0.500 0.000 0.500
Co10 0.844 0.844 0.182
Co11 0.336 0.351 0.671
Co12 0.074 0.448 0.148
Co13 0.926 0.552 0.852
Co14 0.000 0.000 0.500
As1 0.750 0.374 0.499
As2 0.250 0.626 0.501
As3 0.000 0.000 0.000
As4 0.500 0.500 0.000
O1 0.702 0.922 0.849
O2 0.496 0.744 0.502
O3 0.006 0.744 0.502
O4 0.510 0.733 0.020
O5 0.646 0.425 0.849
O6 0.991 0.213 0.983
O7 0.504 0.256 0.498
O8 0.203 0.425 0.848
O9 0.147 0.922 0.850
O10 0.171 0.946 0.342
O11 0.671 0.893 0.342
O12 0.354 0.575 0.151
O13 0.298 0.078 0.151
O14 0.490 0.267 0.980
O15 0.829 0.569 0.659
O16 0.329 0.589 0.659
O17 0.994 0.256 0.498
O18 0.171 0.431 0.341
O19 0.671 0.411 0.341
O20 0.853 0.078 0.150
O21 0.829 0.054 0.658
O22 0.009 0.787 0.017
O23 0.797 0.575 0.152
O24 0.329 0.107 0.658
# Formation energy, meV/atom: -1466

# CaCr2Si3O12 | Materials Project | GGA+U | optimized geometry
data_CaCr2Si3O12
_space_group_name_H-M_alt 'P 1'
_space_group_IT_number 1
_cell_length_a 10.326
_cell_length_b 10.326
_cell_length_c 10.326
_cell_angle_alpha 110.34
_cell_angle_beta 110.34
_cell_angle_gamma 107.74
loop_
_space_group_symop_operation_xyz
'x,y,z'
loop_
_atom_site_label
_atom_site_fract_x
_atom_site_fract_y
_atom_site_fract_z
Ca1 0.500 0.000 0.500
Ca2 0.750 0.750 0.000
Ca3 0.000 0.500 0.500
Ca4 0.250 0.250 0.000
Cr1 0.375 0.625 0.750
Cr2 0.375 0.625 0.250
Cr3 0.875 0.625 0.750
Cr4 0.875 0.625 0.250
Cr5 0.875 0.125 0.750
Cr6 0.375 0.125 0.250
Cr7 0.875 0.125 0.250
Cr8 0.375 0.125 0.750
Si1 0.249 0.875 0.874
Si2 0.501 0.375 0.626
Si3 0.000 0.000 0.000
Si4 0.625 0.251 0.126
Si5 0.250 0.750 0.500
Si6 0.125 0.499 0.874
Si7 0.001 0.375 0.126
Si8 0.125 0.999 0.374
Si9 0.625 0.751 0.626
Si10 0.500 0.500 0.000
Si11 0.750 0.250 0.500
Si12 0.749 0.875 0.374
O1 0.765 0.927 0.244
O2 0.269 0.626 0.062
O3 0.292 0.738 0.358
O4 0.567 0.823 0.338
O5 0.376 0.813 0.857
O6 0.563 0.206 0.938
O7 0.874 0.231 0.938
O8 0.958 0.816 0.947
O9 0.956 0.519 0.143
O10 0.677 0.933 0.662
O11 0.684 0.542 0.053
O12 0.488 0.631 0.947
O13 0.979 0.817 0.244
O14 0.762 0.208 0.642
O15 0.573 0.735 0.756
O16 0.566 0.119 0.358
O17 0.271 0.015 0.338
O18 0.683 0.521 0.756
O19 0.485 0.229 0.662
O20 0.794 0.731 0.357
O21 0.687 0.124 0.143
O22 0.869 0.012 0.053
O23 0.381 0.934 0.642
O24 0.294 0.937 0.062
O25 0.985 0.323 0.256
O26 0.481 0.624 0.438
O27 0.458 0.512 0.142
O28 0.183 0.427 0.162
O29 0.374 0.437 0.643
O30 0.187 0.044 0.562
O31 0.876 0.019 0.562
O32 0.792 0.434 0.553
O33 0.456 0.313 0.438
O34 0.369 0.316 0.858
O35 0.881 0.238 0.447
O36 0.063 0.126 0.357
O37 0.769 0.706 0.643
O38 0.265 0.021 0.838
O39 0.067 0.729 0.744
O40 0.479 0.235 0.162
O41 0.184 0.131 0.142
O42 0.177 0.515 0.744
O43 0.988 0.042 0.858
O44 0.771 0.433 0.256
O45 0.262 0.619 0.553
O46 0.066 0.708 0.447
O47 0.073 0.317 0.838
O48 0.981 0.544 0.857
# Formation energy, meV/atom: -2531

# V18Cu2O45 | Materials Project | GGA+U | optimized geometry
data_V18Cu2O45
_space_group_name_H-M_alt 'P 1'
_space_group_IT_number 1
_cell_length_a 16.974
_cell_length_b 9.253
_cell_length_c 14.527
_cell_angle_alpha 68.05
_cell_angle_beta 37.55
_cell_angle_gamma 58.73
loop_
_space_group_symop_operation_xyz
'x,y,z'
loop_
_atom_site_label
_atom_site_fract_x
_atom_site_fract_y
_atom_site_fract_z
V1 0.282 0.105 0.111
V2 0.072 0.783 0.093
V3 0.062 0.405 0.541
V4 0.570 0.211 0.076
V5 0.242 0.616 0.431
V6 0.507 0.740 0.091
V7 0.173 0.247 0.892
V8 0.379 0.399 0.554
V9 0.052 0.879 0.891
V10 0.946 0.172 0.120
V11 0.561 0.618 0.438
V12 0.851 0.708 0.116
V13 0.500 0.269 0.904
V14 0.700 0.415 0.565
V15 0.358 0.821 0.914
V16 0.906 0.610 0.434
V17 0.846 0.260 0.897
V18 0.776 0.775 0.948
Cu1 0.554 0.008 0.395
Cu2 0.765 0.997 0.596
O1 0.029 0.981 0.995
O2 0.049 0.269 0.088
O3 0.012 0.704 0.031
O4 0.301 0.995 0.018
O5 0.118 0.188 0.274
O6 0.033 0.624 0.233
O7 0.996 0.950 0.195
O8 0.188 0.221 0.460
O9 0.464 0.286 0.056
O10 0.130 0.560 0.469
O11 0.357 0.669 0.022
O12 0.677 0.993 0.012
O13 0.475 0.233 0.250
O14 0.277 0.472 0.528
O15 0.404 0.613 0.234
O16 0.154 0.805 0.505
O17 0.390 0.958 0.135
O18 0.280 0.039 0.846
O19 0.494 0.201 0.475
O20 0.781 0.322 0.043
O21 0.265 0.393 0.752
O22 0.466 0.535 0.465
O23 0.638 0.704 0.070
O24 0.216 0.796 0.732
O25 0.776 0.263 0.261
O26 0.344 0.279 0.992
O27 0.601 0.488 0.539
O28 0.755 0.588 0.253
O29 0.246 0.730 0.950
O30 0.498 0.828 0.464
O31 0.737 0.907 0.192
O32 0.628 0.083 0.802
O33 0.795 0.207 0.514
O34 0.569 0.416 0.767
O35 0.797 0.541 0.482
O36 0.522 0.774 0.744
O37 0.702 0.298 0.945
O38 0.979 0.459 0.492
O39 0.595 0.680 0.930
O40 0.826 0.801 0.512
O41 0.956 0.034 0.857
O42 0.940 0.386 0.743
O43 0.870 0.760 0.773
O44 0.051 0.270 0.914
O45 0.892 0.694 0.960
# Formation energy, meV/atom: -2138

# CrP4C2O2 | Materials Project | GGA+U | optimized geometry
data_CrP4C2O2
_space_group_name_H-M_alt 'P 1'
_space_group_IT_number 1
_cell_length_a 6.980
_cell_length_b 6.980
_cell_length_c 14.124
_cell_angle_alpha 83.67
_cell_angle_beta 83.67
_cell_angle_gamma 116.58
loop_
_space_group_symop_operation_xyz
'x,y,z'
loop_
_atom_site_label
_atom_site_fract_x
_atom_site_fract_y
_atom_site_fract_z
Cr1 0.068 0.932 0.250
Cr2 0.932 0.068 0.750
P1 0.068 0.713 0.148
P2 0.287 0.932 0.352
P3 0.932 0.287 0.852
P4 0.713 0.068 0.648
P5 0.790 0.672 0.360
P6 0.328 0.210 0.140
P7 0.210 0.328 0.640
P8 0.672 0.790 0.860
C1 0.858 0.954 0.175
C2 0.046 0.142 0.325
C3 0.142 0.046 0.825
C4 0.954 0.858 0.675
O1 0.734 0.968 0.129
O2 0.032 0.266 0.371
O3 0.266 0.032 0.871
O4 0.968 0.734 0.629
# Formation energy, meV/atom: 661

# BaMn3Fe3O11 | Materials Project | GGA+U | optimized geometry
data_BaMn3Fe3O11
_space_group_name_H-M_alt 'P 1'
_space_group_IT_number 1
_cell_length_a 5.962
_cell_length_b 5.962
_cell_length_c 13.488
_cell_angle_alpha 90.00
_cell_angle_beta 90.00
_cell_angle_gamma 121.16
loop_
_space_group_symop_operation_xyz
'x,y,z'
loop_
_atom_site_label
_atom_site_fract_x
_atom_site_fract_y
_atom_site_fract_z
Ba1 0.666 0.334 0.251
Ba2 0.334 0.666 0.751
Mn1 0.001 0.501 0.499
Mn2 0.499 0.501 0.499
Mn3 0.499 0.999 0.499
Mn4 0.999 0.499 0.999
Mn5 0.501 0.499 0.999
Mn6 0.501 0.001 0.999
Fe1 0.002 0.998 0.356
Fe2 0.997 0.003 0.643
Fe3 0.998 0.002 0.856
Fe4 0.003 0.997 0.143
Fe5 0.671 0.329 0.740
Fe6 0.329 0.671 0.240
O1 0.301 0.153 0.749
O2 0.854 0.146 0.749
O3 0.847 0.699 0.749
O4 0.699 0.847 0.249
O5 0.146 0.854 0.249
O6 0.153 0.301 0.249
O7 0.352 0.172 0.424
O8 0.824 0.176 0.422
O9 0.828 0.648 0.424
O10 0.647 0.829 0.575
O11 0.177 0.823 0.577
O12 0.171 0.353 0.575
O13 0.648 0.828 0.924
O14 0.176 0.824 0.922
O15 0.172 0.352 0.924
O16 0.353 0.171 0.075
O17 0.823 0.177 0.077
O18 0.829 0.647 0.075
O19 0.683 0.317 0.918
O20 0.319 0.681 0.082
O21 0.317 0.683 0.418
O22 0.681 0.319 0.582
# Formation energy, meV/atom: -1969

# Mn5NiO12 | Materials Project | GGA+U | optimized geometry
data_Mn5NiO12
_space_group_name_H-M_alt 'P 1'
_space_group_IT_number 1
_cell_length_a 5.030
_cell_length_b 5.030
_cell_length_c 9.710
_cell_angle_alpha 90.00
_cell_angle_beta 90.00
_cell_angle_gamma 120.07
loop_
_space_group_symop_operation_xyz
'x,y,z'
loop_
_atom_site_label
_atom_site_fract_x
_atom_site_fract_y
_atom_site_fract_z
Mn1 0.167 0.833 0.500
Mn2 0.333 0.667 0.000
Mn3 0.500 0.500 0.500
Mn4 0.667 0.333 0.000
Mn5 0.833 0.167 0.500
Ni1 0.000 0.000 0.000
O1 0.000 0.672 0.903
O2 0.328 0.000 0.097
O3 0.167 0.500 0.599
O4 0.500 0.833 0.401
O5 0.328 0.328 0.903
O6 0.167 0.167 0.401
O7 0.672 0.672 0.097
O8 0.833 0.833 0.599
O9 0.500 0.167 0.599
O10 0.833 0.500 0.401
O11 0.000 0.328 0.097
O12 0.672 0.000 0.903
# Formation energy, meV/atom: -1598